Computed, not measured: crystalline Hg2IN at its relaxed geometry at the PBE level of DFT.

Properties
Crystal system: hexagonal
Total moment in μB per formula unit: 0.000
DFT total energy in eV per atom: -2.2293

Geometry as CIF:
```
data_Hg2IN
_chemical_formula_sum 'Hg8 I4 N4'
_symmetry_space_group_name_H-M 'P 63/m m c'
_symmetry_Int_Tables_number 194
_symmetry_space_group_name_Hall '-P 6c 2c'
_cell_length_a 6.8641
_cell_length_b 6.8641
_cell_length_c 11.5297
_cell_angle_alpha 90.00
_cell_angle_beta 90.00
_cell_angle_gamma 120.00
loop_
_atom_site_label
_atom_site_type_symbol
_atom_site_fract_x
_atom_site_fract_y
_atom_site_fract_z
Hg1 Hg 0.0000 0.5000 0.0000
Hg2 Hg 0.3333 0.6667 0.2500
I1 I 0.0000 0.0000 0.2500
I2 I 0.3333 0.6667 0.7500
N1 N 0.3333 0.6667 0.0671
```

***

Computed, not measured: crystalline Zn3Cu at its relaxed geometry at the PBE level of DFT.

Properties
Crystal system: hexagonal
DFT total energy in eV per atom: -2.0505

Geometry as CIF:
```
data_Zn3Cu
_chemical_formula_sum 'Zn6 Cu2'
_symmetry_space_group_name_H-M 'P 63/m m c'
_symmetry_Int_Tables_number 194
_symmetry_space_group_name_Hall '-P 6c 2c'
_cell_length_a 5.4225
_cell_length_b 5.4225
_cell_length_c 4.3189
_cell_angle_alpha 90.00
_cell_angle_beta 90.00
_cell_angle_gamma 120.00
loop_
_atom_site_label
_atom_site_type_symbol
_atom_site_fract_x
_atom_site_fract_y
_atom_site_fract_z
Zn1 Zn 0.1692 0.3384 0.2500
Cu1 Cu 0.3333 0.6667 0.7500
```

***

Computed, not measured: crystalline Sr2SnS3F2 at its relaxed geometry at the PBE level of DFT.

Properties
Crystal system: orthorhombic
Total moment in μB per formula unit: 0.000
DFT total energy in eV per atom: -5.1178

Geometry as CIF:
```
data_Sr2SnS3F2
_chemical_formula_sum 'Sr8 Sn4 S12 F8'
_symmetry_space_group_name_H-M 'P n m a'
_symmetry_Int_Tables_number 62
_cell_length_a 6.0142
_cell_length_b 19.0946
_cell_length_c 6.0347
_cell_angle_alpha 90.00
_cell_angle_beta 90.00
_cell_angle_gamma 90.00
loop_
_symmetry_equiv_pos_as_xyz
'x,y,z'
'-x,-y,-z'
'-x+1/2,-y,z+1/2'
'x+1/2,y,-z+1/2'
'x+1/2,-y+1/2,-z+1/2'
'-x+1/2,y+1/2,z+1/2'
'-x,y+1/2,-z'
'x,-y+1/2,z'
loop_
_atom_site_label
_atom_site_type_symbol
_atom_site_fract_x
_atom_site_fract_y
_atom_site_fract_z
Sr1 Sr 0.2469 0.0737 0.0023
Sn1 Sn 0.1570 0.7500 0.9256
S1 S 0.2435 0.1331 0.5139
S2 S 0.2487 0.7500 0.5236
F1 F 0.0009 0.0002 0.7477
```

***

Computed, not measured: crystalline Rb4Hg5Te13 at its relaxed geometry at the PBE level of DFT.

Properties
Crystal system: orthorhombic
Total moment in μB per formula unit: 0.014
DFT total energy in eV per atom: -2.5007

Geometry as CIF:
```
data_Rb4Hg5Te13
_chemical_formula_sum 'Rb16 Hg20 Te52'
_symmetry_space_group_name_H-M 'P n m a'
_symmetry_Int_Tables_number 62
_cell_length_a 10.2603
_cell_length_b 9.3727
_cell_length_c 35.4915
_cell_angle_alpha 90.00
_cell_angle_beta 90.00
_cell_angle_gamma 90.00
loop_
_symmetry_equiv_pos_as_xyz
'x,y,z'
'-x,-y,-z'
'-x+1/2,-y,z+1/2'
'x+1/2,y,-z+1/2'
'x+1/2,-y+1/2,-z+1/2'
'-x+1/2,y+1/2,z+1/2'
'-x,y+1/2,-z'
'x,-y+1/2,z'
loop_
_atom_site_label
_atom_site_type_symbol
_atom_site_fract_x
_atom_site_fract_y
_atom_site_fract_z
Rb1 Rb 0.0830 0.2500 0.1596
Rb2 Rb 0.0879 0.7500 0.2534
Rb3 Rb 0.2256 0.0071 0.4849
Hg1 Hg 0.0559 0.7500 0.6971
Hg2 Hg 0.1277 0.5082 0.3555
Hg3 Hg 0.2091 0.0248 0.5969
Te1 Te 0.0209 0.0056 0.0794
Te2 Te 0.0374 0.2500 0.0316
Te3 Te 0.0533 0.2500 0.8552
Te4 Te 0.0695 0.2500 0.5582
Te5 Te 0.1065 0.7500 0.5631
Te6 Te 0.1297 0.0276 0.6753
Te7 Te 0.1404 0.2500 0.4037
Te8 Te 0.1666 0.5030 0.8019
Te9 Te 0.2054 0.2500 0.2655
Te10 Te 0.2052 0.7500 0.4010
```

***

Computed, not measured: crystalline P3H18OsC6S6O6 at its relaxed geometry at the PBE level of DFT.

Properties
Crystal system: monoclinic
Total moment in μB per formula unit: 1.000
DFT total energy in eV per atom: -5.4181

Geometry as CIF:
```
data_P3H18OsC6S6O6
_chemical_formula_sum 'P12 H72 Os4 C24 S24 O24'
_symmetry_space_group_name_H-M 'C 1 2/c 1'
_symmetry_Int_Tables_number 15
_cell_length_a 14.3565
_cell_length_b 11.3849
_cell_length_c 13.1739
_cell_angle_alpha 90.00
_cell_angle_beta 97.30
_cell_angle_gamma 90.00
loop_
_symmetry_equiv_pos_as_xyz
'x,y,z'
'-x,-y,-z'
'-x,y,-z+1/2'
'x,-y,z+1/2'
'x+1/2,y+1/2,z'
'-x+1/2,-y+1/2,-z'
'-x+1/2,y+1/2,-z+1/2'
'x+1/2,-y+1/2,z+1/2'
loop_
_atom_site_label
_atom_site_type_symbol
_atom_site_fract_x
_atom_site_fract_y
_atom_site_fract_z
P1 P 0.0000 0.0661 0.2500
P2 P 0.1793 0.4694 0.3508
H1 H 0.0742 0.0698 0.4649
H2 H 0.0744 0.3848 0.9783
H3 H 0.0793 0.3101 0.8583
H4 H 0.1117 0.1921 0.6588
H5 H 0.1372 0.0655 0.9610
H6 H 0.1492 0.2594 0.9732
H7 H 0.1719 0.0593 0.3916
H8 H 0.2107 0.1924 0.7568
H9 H 0.2213 0.2544 0.6329
Os1 Os 0.0000 0.3366 0.2500
C1 C 0.1123 0.0123 0.4174
C2 C 0.1196 0.3366 0.9313
C3 C 0.1882 0.1853 0.6743
S1 S 0.0881 0.1800 0.1910
S2 S 0.0920 0.3596 0.4147
S3 S 0.1156 0.4856 0.2069
O1 O 0.0496 0.0291 0.8292
O2 O 0.1987 0.4094 0.9125
O3 O 0.2125 0.0706 0.6371
```

***

Computed, not measured: crystalline Mg3NbO4 at its relaxed geometry at the PBE level of DFT.

Properties
Crystal system: cubic
Total moment in μB per formula unit: 1.522
DFT total energy in eV per atom: -6.4523

Geometry as CIF:
```
data_Mg3NbO4
_chemical_formula_sum 'Mg3 Nb1 O4'
_symmetry_space_group_name_H-M 'P m -3 m'
_symmetry_Int_Tables_number 221
_symmetry_space_group_name_Hall '-P 4 2 3'
_cell_length_a 4.3959
_cell_length_b 4.3959
_cell_length_c 4.3959
_cell_angle_alpha 90.00
_cell_angle_beta 90.00
_cell_angle_gamma 90.00
loop_
_atom_site_label
_atom_site_type_symbol
_atom_site_fract_x
_atom_site_fract_y
_atom_site_fract_z
Mg1 Mg 0.0000 0.0000 0.5000
Nb1 Nb 0.5000 0.5000 0.5000
O1 O 0.0000 0.0000 0.0000
O2 O 0.0000 0.5000 0.5000
```

***

Computed, not measured: crystalline VCrB4 at its relaxed geometry at the PBE level of DFT.

Properties
Crystal system: hexagonal
Total moment in μB per formula unit: 0.219
DFT total energy in eV per atom: -8.1128

Geometry as CIF:
```
data_VCrB4
_chemical_formula_sum 'V1 Cr1 B4'
_symmetry_space_group_name_H-M 'P 6/m m m'
_symmetry_Int_Tables_number 191
_symmetry_space_group_name_Hall '-P 6 2'
_cell_length_a 2.9967
_cell_length_b 2.9967
_cell_length_c 5.9349
_cell_angle_alpha 90.00
_cell_angle_beta 90.00
_cell_angle_gamma 120.00
loop_
_atom_site_label
_atom_site_type_symbol
_atom_site_fract_x
_atom_site_fract_y
_atom_site_fract_z
V1 V 0.0000 0.0000 0.0000
Cr1 Cr 0.0000 0.0000 0.5000
B1 B 0.3333 0.6667 0.2532
```

***

Computed, not measured: crystalline NaCa2Si4O10F at its relaxed geometry at the PBE level of DFT.

Properties
Crystal system: triclinic
Total moment in μB per formula unit: 0.000
DFT total energy in eV per atom: -7.2778

Geometry as CIF:
```
data_NaCa2Si4O10F
_chemical_formula_sum 'Na4 Ca8 Si16 O40 F4'
_symmetry_space_group_name_H-M 'P -1'
_symmetry_Int_Tables_number 2
_cell_length_a 7.0443
_cell_length_b 7.8658
_cell_length_c 19.1656
_cell_angle_alpha 85.70
_cell_angle_beta 89.87
_cell_angle_gamma 63.53
loop_
_symmetry_equiv_pos_as_xyz
'x,y,z'
'-x,-y,-z'
loop_
_atom_site_label
_atom_site_type_symbol
_atom_site_fract_x
_atom_site_fract_y
_atom_site_fract_z
Na1 Na 0.1322 0.2352 0.0097
Na2 Na 0.1356 0.7393 0.5027
Ca1 Ca 0.0036 0.9993 0.7847
Ca2 Ca 0.0199 0.4574 0.2844
Ca3 Ca 0.4796 0.5453 0.7200
Ca4 Ca 0.4990 0.9995 0.7824
Si1 Si 0.2058 0.0251 0.3803
Si2 Si 0.2136 0.5144 0.8775
Si3 Si 0.2264 0.4859 0.1226
Si4 Si 0.2347 0.9780 0.6201
Si5 Si 0.3348 0.8310 0.0900
Si6 Si 0.3419 0.3241 0.5901
Si7 Si 0.3453 0.3064 0.4316
Si8 Si 0.3559 0.7907 0.9306
O1 O 0.0011 0.0039 0.5909
O2 O 0.0070 0.4870 0.9067
O3 O 0.1837 0.1105 0.3007
O4 O 0.1909 0.6048 0.7984
O5 O 0.2084 0.7014 0.1074
O6 O 0.2181 0.1721 0.4360
O7 O 0.2176 0.1915 0.6029
O8 O 0.2344 0.6521 0.9353
O9 O 0.2393 0.0231 0.1296
O10 O 0.2574 0.4990 0.6383
O11 O 0.2746 0.4536 0.3641
O12 O 0.2840 0.9372 0.8631
O13 O 0.2932 0.3948 0.2017
O14 O 0.2966 0.4097 0.5063
O15 O 0.2968 0.8916 0.6997
O16 O 0.3027 0.8965 0.0045
O17 O 0.3852 0.3489 0.0648
O18 O 0.3961 0.8359 0.5639
O19 O 0.4025 0.8140 0.4002
O20 O 0.4103 0.2993 0.8926
F1 F 0.1290 0.2372 0.7609
F2 F 0.3605 0.7650 0.2450
```

***

Computed, not measured: crystalline CeMg14Cd at its relaxed geometry at the PBE level of DFT.

Properties
Crystal system: hexagonal
Total moment in μB per formula unit: 0.208
DFT total energy in eV per atom: -1.7963

Geometry as CIF:
```
data_CeMg14Cd
_chemical_formula_sum 'Ce1 Mg14 Cd1'
_symmetry_space_group_name_H-M 'P -6 m 2'
_symmetry_Int_Tables_number 187
_symmetry_space_group_name_Hall 'P -6 2'
_cell_length_a 6.4170
_cell_length_b 6.4170
_cell_length_c 10.1798
_cell_angle_alpha 90.00
_cell_angle_beta 90.00
_cell_angle_gamma 120.00
loop_
_atom_site_label
_atom_site_type_symbol
_atom_site_fract_x
_atom_site_fract_y
_atom_site_fract_z
Ce1 Ce 0.0000 0.0000 0.0000
Mg1 Mg 0.0169 0.5084 0.0000
Mg2 Mg 0.1673 0.3346 0.2595
Mg3 Mg 0.5036 0.0072 0.5000
Mg4 Mg 0.6667 0.3333 0.2371
Cd1 Cd 0.0000 0.0000 0.5000
```

***

Computed, not measured: crystalline KZnP2H5O9 at its relaxed geometry at the PBE level of DFT.

Properties
Crystal system: triclinic
Total moment in μB per formula unit: 0.000
DFT total energy in eV per atom: -5.8486

Geometry as CIF:
```
data_KZnP2H5O9
_chemical_formula_sum 'K2 Zn2 P4 H10 O18'
_symmetry_space_group_name_H-M 'P -1'
_symmetry_Int_Tables_number 2
_cell_length_a 7.7386
_cell_length_b 7.9125
_cell_length_c 8.0676
_cell_angle_alpha 64.69
_cell_angle_beta 84.88
_cell_angle_gamma 72.06
loop_
_symmetry_equiv_pos_as_xyz
'x,y,z'
'-x,-y,-z'
loop_
_atom_site_label
_atom_site_type_symbol
_atom_site_fract_x
_atom_site_fract_y
_atom_site_fract_z
K1 K 0.1385 0.2756 0.2240
Zn1 Zn 0.2608 0.7318 0.0309
P1 P 0.0796 0.1792 0.7402
P2 P 0.3779 0.5485 0.7456
H1 H 0.1394 0.7808 0.4368
H2 H 0.2018 0.4211 0.5768
H3 H 0.4467 0.8309 0.2736
H4 H 0.4564 0.0235 0.7267
H5 H 0.4663 0.7973 0.5379
O1 O 0.0320 0.7017 0.1575
O2 O 0.0453 0.8973 0.3400
O3 O 0.1605 0.3129 0.5653
O4 O 0.2352 0.0031 0.8579
O5 O 0.2573 0.5821 0.5861
O6 O 0.2623 0.5638 0.9082
O7 O 0.4377 0.9293 0.3228
O8 O 0.4749 0.6542 0.1892
O9 O 0.4767 0.7147 0.6775
```

***

Which value of DFT total energy does entry 10 give? -5.8486 eV per atom